[1]
Material: Na2Mg4Ti4SiS11O48
Method: DFT, PBE-GGA
State: optimized geometry

Unit cell a=8.642 b=14.957 c=22.457 alpha=89.96 beta=89.94 gamma=89.96
Space group P1 (No. 1)
Asymmetric unit:
Na1 0.000 0.000 0.000 x1
Na2 0.001 0.000 0.494 x1
Na3 0.493 0.841 0.155 x1
Na4 0.497 0.502 0.992 x1
Na5 0.497 0.506 0.497 x1
Na6 0.998 0.340 0.662 x1
Mg1 0.000 0.004 0.141 x1
Mg2 0.001 0.003 0.345 x1
Mg3 0.497 0.504 0.641 x1
Mg4 0.497 0.838 0.017 x1
Mg5 0.498 0.503 0.847 x1
Mg6 0.500 0.836 0.518 x1
Mg7 0.501 0.171 0.183 x1
Mg8 0.501 0.503 0.143 x1
Mg9 0.501 0.506 0.347 x1
Mg10 0.999 0.003 0.643 x1
Mg11 0.999 0.005 0.846 x1
Mg12 0.999 0.674 0.470 x1
Ti1 0.001 0.338 0.300 x1
Ti2 0.003 0.676 0.680 x1
Ti3 0.003 0.681 0.974 x1
Ti4 0.007 0.679 0.182 x1
Ti5 0.010 0.339 0.813 x1
Ti6 0.010 0.342 0.516 x1
Ti7 0.012 0.340 0.018 x1
Ti8 0.488 0.176 0.682 x1
Ti9 0.495 0.175 0.473 x1
Ti10 0.495 0.839 0.311 x1
Ti11 0.498 0.172 0.972 x1
Ti12 0.501 0.838 0.806 x1
Si1 0.151 0.823 0.078 x1
Si2 0.296 0.341 0.913 x1
Si3 0.360 0.319 0.577 x1
S1 0.141 0.194 0.411 x1
S2 0.142 0.150 0.744 x1
S3 0.143 0.482 0.410 x1
S4 0.144 0.529 0.077 x1
S5 0.147 0.859 0.745 x1
S6 0.205 0.506 0.744 x1
S7 0.210 0.840 0.413 x1
S8 0.212 0.172 0.077 x1
S9 0.288 0.672 0.576 x1
S10 0.292 0.005 0.246 x1
S11 0.354 0.982 0.912 x1
S12 0.355 0.651 0.245 x1
S13 0.357 0.028 0.578 x1
S14 0.358 0.359 0.245 x1
S15 0.358 0.695 0.912 x1
S16 0.642 0.693 0.412 x1
S17 0.644 0.029 0.078 x1
S18 0.645 0.316 0.077 x1
S19 0.646 0.983 0.413 x1
S20 0.647 0.650 0.745 x1
S21 0.648 0.359 0.744 x1
S22 0.708 0.006 0.745 x1
S23 0.715 0.338 0.412 x1
S24 0.715 0.669 0.078 x1
S25 0.786 0.171 0.577 x1
S26 0.787 0.839 0.912 x1
S27 0.790 0.506 0.244 x1
S28 0.849 0.859 0.245 x1
S29 0.853 0.148 0.245 x1
S30 0.855 0.529 0.577 x1
S31 0.856 0.817 0.577 x1
S32 0.857 0.194 0.913 x1
S33 0.857 0.483 0.913 x1
O1 0.057 0.913 0.080 x1
O2 0.067 0.439 0.070 x1
O3 0.070 0.567 0.419 x1
O4 0.071 0.764 0.021 x1
O5 0.073 0.106 0.407 x1
O6 0.073 0.238 0.465 x1
O7 0.074 0.243 0.750 x1
O8 0.074 0.567 0.132 x1
O9 0.074 0.896 0.798 x1
O10 0.075 0.112 0.690 x1
O11 0.075 0.436 0.358 x1
O12 0.080 0.767 0.735 x1
O13 0.098 0.425 0.752 x1
O14 0.100 0.754 0.135 x1
O15 0.101 0.584 0.733 x1
O16 0.110 0.253 0.067 x1
O17 0.111 0.094 0.081 x1
O18 0.111 0.423 0.465 x1
O19 0.112 0.583 0.023 x1
O20 0.112 0.920 0.404 x1
O21 0.117 0.250 0.358 x1
O22 0.118 0.098 0.798 x1
O23 0.119 0.758 0.415 x1
O24 0.129 0.914 0.692 x1
O25 0.168 0.322 0.568 x1
O26 0.171 0.349 0.969 x1
O27 0.178 0.323 0.855 x1
O28 0.181 0.350 0.256 x1
O29 0.181 0.682 0.632 x1
O30 0.183 0.660 0.236 x1
O31 0.185 0.686 0.918 x1
O32 0.188 0.023 0.583 x1
O33 0.188 0.994 0.902 x1
O34 0.190 0.656 0.525 x1
O35 0.199 0.017 0.299 x1
O36 0.200 0.984 0.193 x1
O37 0.295 0.521 0.797 x1
O38 0.297 0.486 0.691 x1
O39 0.303 0.190 0.130 x1
O40 0.308 0.855 0.465 x1
O41 0.311 0.159 0.023 x1
O42 0.311 0.517 0.083 x1
O43 0.312 0.487 0.406 x1
O44 0.313 0.186 0.419 x1
O45 0.314 0.829 0.358 x1
O46 0.315 0.161 0.737 x1
O47 0.318 0.846 0.755 x1
O48 0.333 0.819 0.077 x1
O49 0.370 0.416 0.192 x1
O50 0.377 0.754 0.574 x1
O51 0.378 0.597 0.298 x1
O52 0.380 0.927 0.964 x1
O53 0.384 0.752 0.857 x1
O54 0.386 0.594 0.587 x1
O55 0.388 0.253 0.635 x1
O56 0.390 0.086 0.524 x1
O57 0.391 0.248 0.925 x1
O58 0.395 0.081 0.238 x1
O59 0.396 0.921 0.256 x1
O60 0.398 0.427 0.909 x1
O61 0.417 0.270 0.237 x1
O62 0.421 0.744 0.252 x1
O63 0.423 0.400 0.299 x1
O64 0.425 0.071 0.632 x1
O65 0.425 0.606 0.902 x1
O66 0.425 0.735 0.964 x1
O67 0.425 0.939 0.857 x1
O68 0.426 0.613 0.191 x1
O69 0.429 0.263 0.519 x1
O70 0.429 0.941 0.571 x1
O71 0.432 0.070 0.918 x1
O72 0.433 0.415 0.580 x1
O73 0.570 0.072 0.420 x1
O74 0.571 0.604 0.403 x1
O75 0.571 0.734 0.465 x1
O76 0.572 0.614 0.692 x1
O77 0.573 0.271 0.023 x1
O78 0.574 0.069 0.131 x1
O79 0.574 0.406 0.081 x1
O80 0.575 0.941 0.358 x1
O81 0.577 0.395 0.797 x1
O82 0.578 0.939 0.070 x1
O83 0.580 0.266 0.734 x1
O84 0.580 0.742 0.756 x1
O85 0.603 0.083 0.734 x1
O86 0.605 0.925 0.756 x1
O87 0.606 0.085 0.023 x1
O88 0.606 0.751 0.357 x1
O89 0.613 0.416 0.407 x1
O90 0.617 0.589 0.083 x1
O91 0.620 0.255 0.420 x1
O92 0.620 0.927 0.466 x1
O93 0.622 0.263 0.130 x1
O94 0.625 0.752 0.072 x1
O95 0.626 0.413 0.691 x1
O96 0.627 0.595 0.798 x1
O97 0.678 0.846 0.254 x1
O98 0.687 0.186 0.920 x1
O99 0.688 0.826 0.857 x1
O100 0.689 0.165 0.238 x1
O101 0.689 0.518 0.585 x1
O102 0.689 0.822 0.574 x1
O103 0.690 0.157 0.523 x1
O104 0.691 0.185 0.631 x1
O105 0.691 0.492 0.905 x1
O106 0.693 0.852 0.965 x1
O107 0.699 0.486 0.192 x1
O108 0.699 0.521 0.298 x1
O109 0.800 0.022 0.798 x1
O110 0.800 0.986 0.692 x1
O111 0.810 0.687 0.416 x1
O112 0.811 0.324 0.358 x1
O113 0.813 0.026 0.081 x1
O114 0.813 0.350 0.466 x1
O115 0.813 0.656 0.023 x1
O116 0.813 0.679 0.132 x1
O117 0.813 0.995 0.404 x1
O118 0.814 0.325 0.065 x1
O119 0.817 0.664 0.733 x1
O120 0.819 0.345 0.752 x1
O121 0.870 0.914 0.192 x1
O122 0.881 0.250 0.857 x1
O123 0.881 0.755 0.917 x1
O124 0.882 0.096 0.299 x1
O125 0.882 0.254 0.570 x1
O126 0.884 0.425 0.966 x1
O127 0.886 0.581 0.523 x1
O128 0.887 0.092 0.583 x1
O129 0.890 0.916 0.903 x1
O130 0.893 0.759 0.632 x1
O131 0.894 0.424 0.255 x1
O132 0.896 0.583 0.235 x1
O133 0.916 0.766 0.236 x1
O134 0.921 0.895 0.298 x1
O135 0.925 0.237 0.965 x1
O136 0.926 0.438 0.858 x1
O137 0.927 0.106 0.905 x1
O138 0.928 0.242 0.257 x1
O139 0.928 0.568 0.631 x1
O140 0.928 0.775 0.525 x1
O141 0.929 0.436 0.571 x1
O142 0.929 0.905 0.586 x1
O143 0.932 0.114 0.193 x1
O144 0.935 0.569 0.920 x1

Results
E_form ... -2.4095 eV/atom



[2]
Material: Ba2SrN2
Method: DFT, PBE-GGA
State: optimized geometry

Unit cell a=3.9306 b=3.9306 c=10.5607 alpha=90.00 beta=90.00 gamma=120.00
Space group P-3m1 (No. 164)
Asymmetric unit:
Ba1 0.3333 0.6667 0.2845 x2
Sr1 0.0000 0.0000 0.0000 x1
N1 0.3333 0.6667 0.8393 x2

Results
E_form ... -0.5607 eV/atom



[3]
Material: Rb2NaGaBr6
Method: DFT, PBE-GGA
State: optimized geometry

Unit cell a=11.008 b=11.008 c=11.008 alpha=90.00 beta=90.00 gamma=90.00
Space group Fm-3m (No. 225)
Asymmetric unit:
Rb1 0.250 0.250 0.250 x8
Na1 0.000 0.000 0.000 x4
Ga1 0.000 0.000 0.500 x4
Br1 0.000 0.000 0.266 x24

Results
E_form ... -1.6375 eV/atom



[4]
Material: MgTi2S4
Method: DFT, PBE-GGA
State: optimized geometry

Unit cell a=6.122 b=3.534 c=18.076 alpha=90.00 beta=97.22 gamma=90.00
Space group C2/m (No. 12)
Asymmetric unit:
Mg1 0.000 0.000 0.000 x2
Ti1 0.067 0.000 0.179 x4
S1 0.074 0.500 0.751 x4
S2 0.199 0.500 0.087 x4

Results
E_form ... -1.5771 eV/atom



[5]
Material: Mg14AlCd
Method: DFT, PBE-GGA
State: optimized geometry

Unit cell a=10.380 b=6.349 c=10.862 alpha=90.00 beta=90.00 gamma=90.00
Space group Amm2 (No. 38)
Asymmetric unit:
Mg1 0.000 0.000 0.000 x2
Mg2 0.000 0.000 0.500 x2
Mg3 0.000 0.250 0.251 x4
Mg4 0.249 0.000 0.167 x4
Mg5 0.251 0.000 0.665 x4
Mg6 0.253 0.248 0.418 x8
Mg7 0.500 0.250 0.250 x4
Al1 0.500 0.000 0.501 x2
Cd1 0.500 0.000 0.001 x2

Results
E_form ... -0.0112 eV/atom



[6]
Material: TbCu4Au
Method: DFT, PBE-GGA
State: optimized geometry

Unit cell a=7.127 b=7.127 c=7.127 alpha=90.00 beta=90.00 gamma=90.00
Space group F-43m (No. 216)
Asymmetric unit:
Tb1 0.000 0.000 0.000 x4
Cu1 0.124 0.124 0.376 x16
Au1 0.250 0.250 0.750 x4

Results
E_form ... -0.3393 eV/atom